## Li6V3P8O29 (PBE+U)

Data for a relaxed Li6V3P8O29 crystal.

- ΔE_f (eV/atom) = -2.644
- SG = P3 (143)
- ΔE to the lowest computed polymorph (meV per atom) = 19

Cell lengths 9.824, 9.824, 13.907 Å; angles 90.00, 90.00, 120.00 degrees
Sites, in units of the cell vectors:
Li 0.000 0.000 0.000
Li 0.011 0.572 0.565
Li 0.102 0.763 0.177
Li 0.104 0.341 0.687
Li 0.237 0.339 0.177
Li 0.237 0.896 0.687
Li 0.333 0.667 0.107
Li 0.428 0.439 0.565
Li 0.561 0.989 0.565
Li 0.659 0.763 0.687
Li 0.661 0.898 0.177
Li 0.667 0.333 0.232
V 0.332 0.234 0.371
V 0.338 0.103 0.874
V 0.765 0.662 0.874
V 0.766 0.098 0.371
V 0.897 0.235 0.874
V 0.902 0.668 0.371
P 0.000 0.000 0.246
P 0.000 0.000 0.748
P 0.014 0.579 0.779
P 0.020 0.441 0.278
P 0.100 0.348 0.464
P 0.109 0.758 0.964
P 0.242 0.351 0.964
P 0.248 0.900 0.464
P 0.421 0.435 0.779
P 0.421 0.980 0.278
P 0.559 0.579 0.278
P 0.565 0.986 0.779
P 0.649 0.891 0.964
P 0.652 0.752 0.464
P 0.667 0.333 0.494
P 0.667 0.333 0.994
O 0.000 0.000 0.137
O 0.000 0.000 0.640
O 0.001 0.150 0.790
O 0.009 0.855 0.285
O 0.076 0.327 0.959
O 0.083 0.752 0.462
O 0.087 0.422 0.555
O 0.093 0.670 0.689
O 0.113 0.678 0.054
O 0.118 0.447 0.194
O 0.120 0.460 0.375
O 0.123 0.667 0.871
O 0.145 0.154 0.285
O 0.150 0.999 0.790
O 0.227 0.187 0.951
O 0.239 0.050 0.442
O 0.248 0.331 0.462
O 0.251 0.924 0.959
O 0.322 0.435 0.054
O 0.329 0.882 0.194
O 0.330 0.423 0.689
O 0.333 0.457 0.871
O 0.334 0.913 0.555
O 0.340 0.880 0.375
O 0.413 0.409 0.281
O 0.417 0.001 0.779
O 0.429 0.285 0.794
O 0.439 0.145 0.290
O 0.517 0.185 0.951
O 0.519 0.340 0.453
O 0.540 0.660 0.375
O 0.543 0.877 0.871
O 0.553 0.671 0.194
O 0.565 0.887 0.054
O 0.577 0.907 0.689
O 0.578 0.666 0.555
O 0.584 0.583 0.779
O 0.591 0.004 0.281
O 0.660 0.180 0.453
O 0.667 0.333 0.101
O 0.667 0.333 0.601
O 0.668 0.483 0.951
O 0.669 0.917 0.462
O 0.673 0.749 0.959
O 0.706 0.561 0.290
O 0.715 0.143 0.794
O 0.811 0.761 0.442
O 0.813 0.041 0.951
O 0.815 0.332 0.951
O 0.820 0.481 0.453
O 0.846 0.991 0.285
O 0.850 0.850 0.790
O 0.855 0.294 0.290
O 0.857 0.571 0.794
O 0.950 0.189 0.442
O 0.959 0.773 0.951
O 0.996 0.587 0.281
O 0.999 0.416 0.779